The following is a DFT calculation (GGA+U) of a geometry-optimized Cs2Tm2MgW4O16 structure.

Properties
* relative energy among the computed polymorphs: 34 meV per atom
* energy of formation: -2.57 eV/atom

Lattice parameters (Å, degrees): 7.5270 7.5672 7.9292 90.63 116.18 116.16
With the nearest neighbours (Å) after each atom.
Fractional positions:
Cs 0.0000 0.0000 0.0000  10 O 2.97-3.18
Cs 0.4695 0.4329 0.5651  7 O 2.75-3.08, 1 Mg 2.80
Tm 0.4680 0.9180 0.0061  5 O 2.19-2.41
Tm 0.9951 0.4490 0.6067  4 O 2.17-2.34
Mg 0.6521 0.2766 0.8755  5 O 1.94-2.14
W 0.0778 0.5198 0.1429  4 O 1.88-2.05
W 0.4483 0.9225 0.4912  5 O 1.86-2.06
W 0.5577 0.5213 0.1080  6 O 1.90-2.10
W 0.9486 0.9015 0.5087  5 O 1.85-2.06
O 0.0483 0.1757 0.5864  1 W 1.85
O 0.1022 0.8186 0.7261  1 W 1.90
O 0.1804 0.9702 0.4366  2 W 1.93-2.06
O 0.2164 0.6269 0.4440  2 W 2.04-2.11
O 0.2943 0.8095 0.1810  2 W 1.99-2.17
O 0.3267 0.4535 0.1800  2 W 1.93-2.05
O 0.3868 0.5969 0.8868  1 W 1.93
O 0.4560 0.2449 0.0061  1 W 1.90, 1 Mg 2.09
O 0.5420 0.9936 0.7703  1 Mg 1.94, 1 W 1.99
O 0.6361 0.1752 0.4747  1 W 1.86
O 0.6930 0.8423 0.5517  2 W 1.96-2.05
O 0.7166 0.8358 0.2198  2 W 2.06-2.10, 1 Tm 2.24
O 0.7807 0.5734 0.3838  2 W 1.98-2.20
O 0.8017 0.5760 0.0461  2 W 1.98-2.11, 1 Mg 2.14
O 0.8728 0.2628 0.1453  1 W 1.88, 1 Mg 2.09
O 0.9407 0.4345 0.8545  1 W 2.00, 1 Mg 2.05, 1 Tm 2.17



The following is a DFT calculation (GGA+U) of a geometry-optimized FeOF structure.

Properties
* piezoelectric modulus e_max: 0.1 C/m2
* energy of formation: -2.04 eV/atom

Lattice parameters (Å, degrees): 12.2260 4.7718 4.7718 89.96 90.00 90.00
With the nearest neighbours (Å) after each atom.
Fractional positions:
Fe 0.0000 0.0000 0.0000  3 O 1.92-1.96, 2 F 2.08
Fe 0.1246 0.4927 0.4348  3 O 1.94-1.96, 2 F 2.06-2.07
Fe 0.2500 0.9088 0.9460  3 O 1.93-1.94, 2 F 2.13
Fe 0.3754 0.4927 0.4348  3 O 1.94-1.96, 2 F 2.06-2.07
Fe 0.5000 0.0000 0.0000  3 O 1.92-1.96, 2 F 2.08
Fe 0.6246 0.4348 0.4927  3 O 1.94-1.96, 2 F 2.06-2.07
Fe 0.7500 0.9460 0.9088  3 O 1.93-1.94, 2 F 2.13
Fe 0.8754 0.4348 0.4927  3 O 1.94-1.96, 2 F 2.06-2.07
O 0.0000 0.2845 0.2845  3 Fe 1.92-1.96
O 0.1221 0.7786 0.1464  3 Fe 1.94-1.96
O 0.2500 0.6500 0.6366  3 Fe 1.93-1.96
O 0.3779 0.7786 0.1464  3 Fe 1.94-1.96
O 0.5000 0.2845 0.2845  3 Fe 1.92-1.96
O 0.6221 0.1464 0.7786  3 Fe 1.94-1.96
O 0.7500 0.6366 0.6500  3 Fe 1.93-1.96
O 0.8779 0.1464 0.7786  3 Fe 1.94-1.96
F 0.0000 0.6678 0.6678  3 Fe 2.06-2.24
F 0.1271 0.1659 0.7637  3 Fe 2.08-2.21
F 0.2500 0.2685 0.2472  3 Fe 2.07-2.24
F 0.3729 0.1659 0.7637  3 Fe 2.08-2.21
F 0.5000 0.6678 0.6678  3 Fe 2.06-2.24
F 0.6271 0.7637 0.1659  3 Fe 2.08-2.21
F 0.7500 0.2472 0.2685  3 Fe 2.07-2.24
F 0.8729 0.7637 0.1659  3 Fe 2.08-2.21



The following is a DFT calculation (GGA+U) of a geometry-optimized Sr12Mn6O23 structure.

Properties
* energy of formation: -2.72 eV/atom

Lattice parameters (Å, degrees): 8.6770 8.7977 8.8042 77.29 84.35 60.49
With the nearest neighbours (Å) after each atom.
Fractional positions:
Sr 0.0703 0.2483 0.0402  8 O 2.55-2.79
Sr 0.0765 0.7579 0.5362  8 O 2.48-2.71
Sr 0.2598 0.9157 0.8005  8 O 2.52-2.76
Sr 0.2734 0.4138 0.2894  8 O 2.46-2.71
Sr 0.4013 0.9199 0.3689  8 O 2.55-2.80
Sr 0.4057 0.4166 0.8685  8 O 2.51-2.77
Sr 0.5943 0.5834 0.1315  8 O 2.51-2.77
Sr 0.5987 0.0801 0.6311  8 O 2.55-2.80
Sr 0.7266 0.5862 0.7106  8 O 2.46-2.71
Sr 0.7402 0.0843 0.1995  8 O 2.52-2.76
Sr 0.9235 0.2421 0.4638  8 O 2.48-2.71
Sr 0.9297 0.7517 0.9598  8 O 2.55-2.79
Mn 0.1680 0.8315 0.1673  6 O 1.94-1.98
Mn 0.1713 0.3287 0.6713  5 O 1.89-1.95
Mn 0.5000 0.0000 0.0000  6 O 1.94-1.97
Mn 0.5000 0.5000 0.5000  6 O 1.93-1.99
Mn 0.8287 0.6713 0.3287  5 O 1.89-1.95
Mn 0.8320 0.1685 0.8327  6 O 1.94-1.98
O 0.0000 0.0000 0.0000  2 Mn 1.96
O 0.0106 0.7357 0.2634  2 Mn 1.92-1.97
O 0.0515 0.5256 0.7820  1 Mn 1.95
O 0.0618 0.0154 0.2975  1 Mn 1.98
O 0.2566 0.1671 0.5258  1 Mn 1.95
O 0.2714 0.6496 0.0344  1 Mn 1.98
O 0.3169 0.4292 0.5709  2 Mn 1.92-1.98
O 0.3317 0.9188 0.0834  2 Mn 1.94
O 0.3334 0.1665 0.8336  2 Mn 1.89-1.94
O 0.3426 0.6692 0.3304  2 Mn 1.93-1.95
O 0.3943 0.6854 0.6310  1 Mn 1.99
O 0.3969 0.1830 0.1296  1 Mn 1.97
O 0.6031 0.8170 0.8704  1 Mn 1.97
O 0.6057 0.3146 0.3690  1 Mn 1.99
O 0.6574 0.3308 0.6696  2 Mn 1.93-1.95
O 0.6666 0.8335 0.1664  2 Mn 1.89-1.94
O 0.6683 0.0812 0.9166  2 Mn 1.94
O 0.6831 0.5708 0.4291  2 Mn 1.92-1.98
O 0.7286 0.3504 0.9656  1 Mn 1.98
O 0.7434 0.8329 0.4742  1 Mn 1.95
O 0.9382 0.9846 0.7025  1 Mn 1.98
O 0.9485 0.4744 0.2180  1 Mn 1.95
O 0.9894 0.2643 0.7366  2 Mn 1.92-1.97



Number 1: V 351.8 Å³ per cell, total DFT energy (no corrections) -178.75 eV for the cell shown. Number 2: V 278.4 Å³ per cell, total DFT energy (no corrections) -144.33 eV for the cell shown. Number 3: V 570.5 Å³ per cell, total DFT energy (no corrections) -274.69 eV for the cell shown.